(1)
Below is a geometry-optimized Co2Cu3C12N12 structure, with properties calculated at the PBE level.

a = 7.1375 Å, b = 7.1375 Å, c = 10.1752 Å
α = 90.00°, β = 90.00°, γ = 90.00°
Closest atoms and distances in Å follow each position.
Fractional positions:
Co: 0.5000 0.0000 0.7506  6 C 1.86-1.87
Co: 0.0000 0.5000 0.2494  6 C 1.86-1.87
Cu: 0.5000 0.0000 0.2467  6 N 2.02-2.09
Cu: 0.0000 0.5000 0.7533  6 N 2.02-2.09
Cu: 0.5000 0.5000 0.5000  12 N 3.59-3.60, 12 C 3.63-3.65
C: 0.1842 0.6839 0.2496  1 N 1.17
C: 0.6839 0.1842 0.7504  1 N 1.17
C: 0.5000 0.0000 0.5673  1 N 1.17
C: 0.0000 0.5000 0.0659  1 N 1.17
C: 0.8158 0.6839 0.2496  1 N 1.17
C: 0.3161 0.1842 0.7504  1 N 1.17
C: 0.5000 0.0000 0.9341  1 N 1.17
C: 0.0000 0.5000 0.4327  1 N 1.17
C: 0.1842 0.3161 0.2496  1 N 1.17
C: 0.6839 0.8158 0.7504  1 N 1.17
C: 0.8158 0.3161 0.2496  1 N 1.17
C: 0.3161 0.8158 0.7504  1 N 1.17
N: 0.3017 0.7977 0.2522  1 C 1.17
N: 0.7977 0.3017 0.7478  1 C 1.17
N: 0.5000 0.0000 0.4522  1 C 1.17
N: 0.0000 0.5000 0.9514  1 C 1.17
N: 0.6983 0.7977 0.2522  1 C 1.17
N: 0.2023 0.3017 0.7478  1 C 1.17
N: 0.5000 0.0000 0.0486  1 C 1.17
N: 0.0000 0.5000 0.5478  1 C 1.17
N: 0.3017 0.2023 0.2522  1 C 1.17
N: 0.7977 0.6983 0.7478  1 C 1.17
N: 0.6983 0.2023 0.2522  1 C 1.17
N: 0.2023 0.6983 0.7478  1 C 1.17

Formation energy ... 0.44 eV per atom
Volume ... 17.9 A^3/atom


(2)
Below is a geometry-optimized ErCoC structure, with properties calculated at the PBE level.

a = 3.4974 Å, b = 3.5338 Å, c = 3.6075 Å
α = 90.00°, β = 90.00°, γ = 90.00°
Closest atoms and distances in Å follow each position.
Fractional positions:
Er: 0.0000 0.0000 0.0000  4 C 2.49
Co: 0.5000 0.5000 0.5000  2 C 1.80
C: 0.5000 0.5000 0.0000  2 Co 1.80

Formation energy ... -0.28 eV per atom
Energy relative to the lowest polymorph listed for this composition ... 58 meV per atom
Volume ... 14.9 A^3/atom